Nd2O3, optimized geometry, DFT PBE; final energy = -41.078 eV/cell; energy relative to the elements = -361.99 kJ per mole of atoms; crystal system = trigonal
1.0
3.860 0.000 0.000
-1.930 3.343 0.000
0.000 0.000 6.091
Nd O
2 3
Cartesian
0.000 2.229 1.530
1.930 1.114 4.561
0.000 0.000 3.046
0.000 2.229 5.210
1.930 1.114 0.881

---

Nd2O3, optimized geometry, DFT PBE; magnetic moment = 0.0 Bohr magnetons per cell; final energy = -40.152 eV/cell; energy relative to the elements = -344.11 kJ per mole of atoms; crystal system = hexagonal
1.0
6.165 0.000 0.000
-3.083 5.339 0.000
0.000 0.000 3.217
Nd O
2 3
Cartesian
0.000 3.560 0.000
3.083 1.780 0.000
-1.541 2.670 1.609
3.083 0.000 1.609
1.541 2.670 1.609

---

Nd2O3, optimized geometry, DFT PBE; final energy = -123.257 eV/cell; energy relative to the elements = -362.14 kJ per mole of atoms; crystal system = monoclinic
1.0
7.273 -1.854 0.000
7.273 1.854 0.000
-1.598 0.000 8.915
Nd O
6 9
Cartesian
-0.015 0.000 2.779
3.920 0.000 3.229
5.301 0.000 0.091
7.647 0.000 8.825
9.028 0.000 5.687
12.963 0.000 6.136
0.624 0.000 7.004
1.794 0.000 4.220
2.734 0.000 1.131
5.543 0.000 7.525
6.474 0.000 4.458
7.405 0.000 1.391
10.214 0.000 7.784
11.154 0.000 4.695
12.324 0.000 1.911

---

Nd2O3, optimized geometry, DFT PBE; magnetic moment = 0.0 Bohr magnetons per cell; final energy = -36.583 eV/cell; energy relative to the elements = -275.25 kJ per mole of atoms; crystal system = cubic
1.0
4.501 0.000 0.000
0.000 4.501 0.000
0.000 0.000 4.501
Nd O
2 3
Cartesian
0.000 0.000 0.000
2.251 2.251 2.251
0.000 0.000 2.251
0.000 2.251 0.000
2.251 0.000 0.000

---

Nd3OsO7, optimized geometry, DFT PBE; final energy = -178.739 eV/cell; energy relative to the elements = -298.32 kJ per mole of atoms; crystal system = orthorhombic
1.0
5.488 -3.767 0.000
5.488 3.767 0.000
0.000 0.000 7.617
Nd Os O
6 2 14
Cartesian
0.000 0.000 0.000
0.000 0.000 3.808
3.039 1.490 5.713
3.039 -1.490 1.904
7.938 1.490 5.713
7.938 -1.490 1.904
5.488 0.000 0.000
5.488 0.000 3.808
1.448 0.190 1.904
1.448 -0.190 5.713
4.111 1.401 0.292
4.111 1.401 3.516
5.488 0.628 5.713
6.866 1.401 0.292
6.866 1.401 3.516
4.111 -1.401 4.100
4.111 -1.401 7.325
5.488 -0.628 1.904
6.866 -1.401 4.100
6.866 -1.401 7.325
9.529 0.190 1.904
9.529 -0.190 5.713

---

NdOsO4, optimized geometry, DFT PBE; final energy = -382.877 eV/cell; energy relative to the elements = -238.32 kJ per mole of atoms; crystal system = orthorhombic
1.0
15.211 0.000 0.000
0.000 7.603 0.000
0.000 0.000 5.496
Nd Os O
8 8 32
Cartesian
0.903 0.939 0.000
1.458 4.729 5.151
6.147 0.928 2.403
6.702 4.741 2.748
8.508 2.862 0.000
9.064 6.675 5.151
13.752 2.874 2.403
14.308 6.664 2.748
2.525 2.860 2.375
2.588 6.668 2.351
5.017 2.866 5.099
5.081 6.661 5.123
10.130 0.942 2.375
10.193 4.737 2.351
12.623 0.935 5.099
12.686 4.743 5.123
0.763 3.044 1.363
0.917 6.425 1.273
1.249 6.822 3.897
1.612 2.603 4.022
2.456 0.954 1.922
2.564 4.762 2.880
3.387 6.246 0.596
3.514 3.187 0.747
4.091 6.988 3.495
4.218 2.444 3.344
5.041 0.960 0.132
5.149 4.756 4.669
5.993 6.404 1.274
6.356 3.020 1.149
6.689 2.624 4.020
6.842 6.845 4.110
8.369 0.758 1.363
8.522 4.980 1.273
8.854 4.583 3.897
9.218 1.199 4.022
10.062 2.847 1.922
10.170 6.643 2.880
10.993 5.159 0.596
11.120 0.615 0.747
11.696 4.416 3.495
11.823 1.358 3.344
12.646 2.841 0.132
12.754 6.649 4.669
13.599 5.000 1.274
13.962 0.782 1.149
14.294 1.178 4.020
14.447 4.559 4.110

---

Nd3PO7, optimized geometry, DFT PBE; final energy = -536.853 eV/cell; energy relative to the elements = -350.25 kJ per mole of atoms; crystal system = monoclinic
1.0
6.556 -6.680 0.000
6.556 6.680 0.000
-3.917 0.000 11.765
Nd P O
18 6 42
Cartesian
3.742 2.101 1.322
3.769 4.371 8.101
1.207 2.068 9.076
2.840 2.311 5.244
5.425 4.371 3.665
6.556 4.135 0.000
3.742 -2.101 1.322
1.207 -2.068 9.076
6.354 2.311 6.522
2.840 -2.311 5.244
7.987 2.068 2.689
5.452 2.101 10.443
6.556 -4.135 0.000
3.769 -4.371 8.101
6.354 -2.311 6.522
7.987 -2.068 2.689
5.425 -4.371 3.665
5.452 -2.101 10.443
-1.335 0.000 10.453
1.160 0.000 3.134
3.842 0.000 8.004
5.352 0.000 3.761
8.034 0.000 8.632
10.529 0.000 1.312
-2.211 1.275 10.441
1.339 1.288 2.286
-0.297 0.000 3.754
1.889 3.300 7.190
3.357 3.419 3.263
0.647 3.028 11.107
-2.211 -1.275 10.441
-0.397 0.000 9.193
4.597 3.824 5.883
1.339 -1.288 2.286
-0.399 0.000 11.702
2.139 0.000 4.366
3.265 2.868 9.839
5.930 2.868 1.927
2.310 0.000 8.364
4.106 1.281 7.198
5.837 3.419 8.502
4.515 0.000 2.453
5.088 1.281 4.567
7.305 3.300 4.575
8.547 3.028 0.658
0.647 -3.028 11.107
1.889 -3.300 7.190
4.106 -1.281 7.198
4.680 0.000 9.312
3.357 -3.419 3.263
5.088 -1.281 4.567
6.884 0.000 3.401
3.265 -2.868 9.839
5.930 -2.868 1.927
7.055 0.000 7.399
9.593 0.000 0.063
7.855 1.288 9.479
4.597 -3.824 5.883
9.592 0.000 2.572
11.405 1.275 1.324
8.547 -3.028 0.658
5.837 -3.419 8.502
7.305 -3.300 4.575
9.492 0.000 8.011
7.855 -1.288 9.479
11.405 -1.275 1.324

---

Nd3PO7, optimized geometry, DFT PBE; magnetic moment = 0.0 Bohr magnetons per cell; final energy = -536.868 eV/cell; energy relative to the elements = -350.27 kJ per mole of atoms; crystal system = monoclinic
1.0
6.551 -6.687 0.000
6.551 6.687 0.000
-3.912 0.000 11.741
Nd P O
18 6 42
Cartesian
1.198 2.540 9.063
2.340 2.313 5.401
4.923 4.375 3.823
3.970 2.306 0.980
6.551 4.613 0.000
4.005 4.588 7.755
4.950 2.098 10.377
2.340 -2.313 5.401
6.314 2.071 6.380
7.942 2.314 2.557
3.970 -2.306 0.980
1.198 -2.540 9.063
4.950 -2.098 10.377
6.314 -2.071 6.380
4.923 -4.375 3.823
7.942 -2.314 2.557
6.551 -4.613 0.000
4.005 -4.588 7.755
0.036 0.000 5.934
-1.413 0.000 10.386
3.771 0.000 7.745
6.253 0.000 0.437
8.947 0.000 5.301
10.479 0.000 1.053
1.819 3.817 7.145
0.582 3.807 10.982
-0.920 0.000 4.684
-2.404 0.000 9.177
-0.162 1.283 6.785
3.157 2.864 3.191
-2.259 0.000 11.708
-0.542 1.277 10.336
3.195 3.638 9.716
4.404 3.263 5.802
5.866 3.373 1.881
1.499 0.000 5.334
-0.162 -1.283 6.785
-0.542 -1.277 10.336
2.894 1.273 7.743
2.509 1.288 11.327
4.804 0.000 1.070
6.993 3.310 4.503
8.455 3.423 0.580
5.751 3.032 8.408
2.894 -1.273 7.743
4.696 0.000 6.476
3.157 -2.864 3.191
2.509 -1.288 11.327
4.685 0.000 9.008
7.250 0.000 1.653
1.819 -3.817 7.145
0.582 -3.807 10.982
7.416 0.000 5.658
9.235 1.280 4.487
4.404 -3.263 5.802
10.183 1.282 1.864
5.750 0.000 11.476
5.866 -3.373 1.881
3.195 -3.638 9.716
5.751 -3.032 8.408
6.993 -3.310 4.503
9.235 -1.280 4.487
9.789 0.000 6.608
8.455 -3.423 0.580
10.183 -1.282 1.864
12.015 0.000 0.707